Record 1
VASP calculation (GGA-PBE) on crystalline HfTlF5 at its relaxed geometry.

Geometry as POSCAR:
```
HfTlF5
1.0
-5.9762 4.1047 -3.3037
-4.9226 -5.5147 2.0529
-3.4646 0.7200 7.1619
F Tl Hf
20 4 4
Direct
0.4946 0.8282 0.0711
0.2901 0.0122 0.4350
0.2068 0.2927 0.5871
0.2086 0.7262 0.8369
0.9946 0.1718 0.4289
0.2932 0.2927 0.0871
0.7086 0.2738 0.6631
0.7068 0.7073 0.9129
0.0054 0.8282 0.5711
0.9369 0.9951 0.7891
0.4369 0.0049 0.7109
0.2099 0.0122 0.9350
0.7914 0.2738 0.1631
0.2914 0.7262 0.3369
0.0631 0.0049 0.2109
0.7901 0.9878 0.0650
0.7932 0.7073 0.4129
0.5054 0.1718 0.9289
0.7099 0.9878 0.5650
0.5631 0.9951 0.2891
0.0287 0.5690 0.2034
0.9713 0.4310 0.7966
0.4713 0.5690 0.7034
0.5287 0.4310 0.2966
0.6622 0.9910 0.8409
0.3378 0.0090 0.1591
0.8378 0.9910 0.3409
0.1622 0.0090 0.6591
```

Values from the calculation:
formation energy from the elements	-3.583	eV/atom

***

Record 2
VASP calculation (GGA-PBE) on crystalline TmHfF7 at its relaxed geometry.

Geometry as POSCAR:
```
TmHfF7
1.0
0.0000 -5.6275 0.0000
-5.8571 0.0000 1.3310
-0.0830 0.0000 -8.1796
Tm F Hf
2 14 2
Direct
0.6979 0.6548 0.6839
0.1979 0.3452 0.3161
0.2029 0.2448 0.0252
0.9276 0.0773 0.2334
0.7029 0.7552 0.9748
0.8890 0.4531 0.4775
0.9433 0.9589 0.7603
0.2102 0.1392 0.5255
0.4276 0.9227 0.7666
0.4433 0.0411 0.2397
0.0037 0.6198 0.2188
0.5037 0.3802 0.7812
0.7102 0.8608 0.4745
0.3890 0.5469 0.5225
0.4937 0.5430 0.2131
0.9937 0.4570 0.7869
0.2081 0.1883 0.7762
0.7081 0.8117 0.2238
```

Values from the calculation:
formation energy from the elements	-4.327	eV/atom

***

Q: What is the formula in the second record?
A: TmHfF7